Material: NaCuO2
Method: DFT, GGA-PBE
State: relaxed

a = 3.746 Å, b = 3.746 Å, c = 3.351 Å
α = 90.00°, β = 90.00°, γ = 90.00°
Fractional positions:
Na 0.000 0.000 0.000
Cu 0.500 0.500 0.500
O 0.000 0.500 0.500
O 0.500 0.000 0.500

Energy relative to the elements ... -1.121 eV per atom
VASP energy ... -4.607 eV per atom